Material: Y2Ge5Ir3
Method: DFT, r2SCAN
State: optimized geometry

Values from the calculation:
For the total energy, the calculation gives -27.5052 eV per atom. The calculation puts the volume at 17.96 A^3/atom. The formation energy is -7.99 eV/f.u. As for the total magnetization: 0.000 Bohr magnetons per cell.

CIF file:
```
data_Y2Ge5Ir3
_cell_length_a 10.212
_cell_length_b 11.710
_cell_length_c 6.008
_cell_angle_alpha 90.00
_cell_angle_beta 90.00
_cell_angle_gamma 90.00
_symmetry_space_group_name_H-M 'I b a m'
_symmetry_Int_Tables_number 72
_symmetry_space_group_name_Hall '-I 2 2c'
loop_
_atom_site_label
_atom_site_type_symbol
_atom_site_fract_x
_atom_site_fract_y
_atom_site_fract_z
Y1 Y 0.225 0.134 0.000
Ge1 Ge 0.000 0.000 0.250
Ge2 Ge 0.000 0.276 0.250
Ge3 Ge 0.161 0.401 0.000
Ir1 Ir 0.000 0.500 0.250
Ir2 Ir 0.112 0.142 0.500
```